No. 1
Mg14CuNi (PBE, optimized geometry); space-group type = Amm2, No. 38
1.0
-1.267 -0.066 6.153
0.655 -5.469 -3.244
9.424 -0.023 1.941
Mg Ni Cu
14 1 1
direct
0.314 0.154 0.912
0.726 0.862 0.125
0.663 0.333 0.625
0.176 0.338 0.625
0.832 0.166 0.376
0.832 0.166 0.874
0.314 0.661 0.912
0.726 0.364 0.125
0.663 0.830 0.625
0.314 0.154 0.338
0.836 0.668 0.372
0.176 0.838 0.625
0.836 0.668 0.878
0.314 0.661 0.338
0.137 0.818 0.125
0.140 0.320 0.125



No. 2
MgCu2O4 (PBE, optimized geometry); space-group type = P1, No. 1; corrected total energy (MP2020 scheme) = -77.47 eV/cell
1.0
2.822 -0.009 0.574
1.136 7.667 1.519
-0.025 1.171 7.234
O Cu Mg
8 4 2
direct
0.553 0.660 0.227
0.230 0.631 0.909
0.138 0.298 0.441
0.865 0.680 0.592
0.868 0.968 0.303
0.773 0.347 0.124
0.136 0.012 0.727
0.447 0.315 0.812
0.144 0.512 0.196
0.856 0.466 0.839
0.614 0.180 0.606
0.389 0.798 0.426
0.681 0.820 0.823
0.323 0.159 0.208



The records above give, respectively, energy above the lowest structure with this stoichiometry values of 0.000, 1.345 eV/f.u..
The records above give, respectively, VASP energy values of -31.972, -71.978 eV/cell.
The records above give, respectively, formation energy values of 19, -1307 meV per atom.